# 1
! PBE BPd6, relaxed; values from VASP
! * excess energy over the best structure of this formula in the dataset: 6 meV per atom
! * formation energy from the elements: -18.7 kJ/mol of atoms
&SYSTEM
  ibrav = 0, nat = 14, ntyp = 2
/
ATOMIC_SPECIES
B 10.81 B.upf
Pd 106.42 Pd.upf
ATOMIC_POSITIONS angstrom
B 0.7255 1.0210 2.1502
B 5.0785 7.1472 15.0514
Pd 3.5931 3.0593 4.9933
Pd 2.1765 1.0578 6.4506
Pd 3.5931 3.0669 7.9079
Pd 5.0440 5.1090 9.2937
Pd 3.6275 3.0999 10.7510
Pd 5.0440 5.1014 12.2083
Pd 0.7599 3.0669 4.9933
Pd 2.1765 5.0684 6.4506
Pd 0.7599 3.0593 7.9079
Pd 2.2109 5.1014 9.2937
Pd 3.6275 7.1104 10.7510
Pd 2.2109 5.1090 12.2083
CELL_PARAMETERS angstrom
0.0000 4.0841 8.6008
2.9020 0.0000 8.6008
2.9020 4.0841 0.0000

# 2
! PBE B3Pd16, relaxed; values from VASP
! * formation energy from the elements: -20.1 kJ/mol of atoms
&SYSTEM
  ibrav = 0, nat = 38, ntyp = 2
/
ATOMIC_SPECIES
B 10.81 B.upf
Pd 106.42 Pd.upf
ATOMIC_POSITIONS angstrom
B 5.1731 3.0669 6.1255
B 5.1558 0.9850 0.0036
B 3.1446 -0.9850 4.0873
B 9.2128 0.9850 4.0800
B 7.2015 -0.9850 8.1637
B 7.1843 -3.0669 2.0418
Pd 1.0749 1.0271 2.0431
Pd 5.1564 3.0572 4.0375
Pd -0.9876 0.9827 8.1671
Pd 1.0732 1.0256 6.0881
Pd 7.1843 3.0294 2.0418
Pd 3.1075 1.0758 4.0806
Pd 9.2122 3.0572 0.0461
Pd 5.1451 1.0212 2.0837
Pd -0.9363 -1.0271 6.1267
Pd 1.0236 -0.9827 4.0835
Pd 3.1952 1.0169 8.1669
Pd 3.0844 -1.0256 2.0045
Pd 5.1731 0.9847 6.1255
Pd 7.1509 1.0169 4.0841
Pd 1.0963 -1.0758 8.1642
Pd 9.2235 1.0212 1.9999
Pd 3.1339 -1.0212 6.1674
Pd 11.2611 1.0758 0.0031
Pd 5.2065 -1.0169 4.0832
Pd 7.1843 -0.9847 2.0418
Pd 9.2730 1.0256 6.1628
Pd 9.1621 -1.0169 0.0004
Pd 11.3337 0.9827 4.0838
Pd 13.2937 1.0271 2.0405
Pd 7.2123 -1.0212 6.0836
Pd 3.1452 -3.0572 8.1212
Pd 9.2498 -1.0758 4.0867
Pd 5.1731 -3.0294 6.1255
Pd 11.2842 -1.0256 2.0791
Pd 13.3450 -0.9827 0.0002
Pd 7.2010 -3.0572 4.1298
Pd 11.2824 -1.0271 6.1242
CELL_PARAMETERS angstrom
8.1899 -4.0883 0.0000
8.1899 4.0883 0.0000
-4.0225 0.0000 8.1673

# 3
! PBE ScBPd3, relaxed; values from VASP
! * formation energy from the elements: -52.5 kJ/mol of atoms
&SYSTEM
  ibrav = 0, nat = 5, ntyp = 3
/
ATOMIC_SPECIES
Sc 44.96 Sc.upf
B 10.81 B.upf
Pd 106.42 Pd.upf
ATOMIC_POSITIONS angstrom
Sc 0.0000 0.0000 0.0000
B 2.1175 2.1175 2.1175
Pd 0.0000 2.1175 2.1175
Pd 2.1175 0.0000 2.1175
Pd 2.1175 2.1175 0.0000
CELL_PARAMETERS angstrom
4.2350 0.0000 0.0000
0.0000 4.2350 0.0000
0.0000 0.0000 4.2350

# 4
! PBE SrBPd4, relaxed; values from VASP
! * formation energy from the elements: -51.7 kJ/mol of atoms
&SYSTEM
  ibrav = 0, nat = 24, ntyp = 3
/
ATOMIC_SPECIES
Sr 87.62 Sr.upf
B 10.81 B.upf
Pd 106.42 Pd.upf
ATOMIC_POSITIONS angstrom
Sr 1.1557 1.3949 1.9193
Sr 1.9194 4.1847 7.9291
Sr 4.2307 1.3949 4.0906
Sr 4.9944 4.1847 10.1004
B 0.5999 1.3949 6.6322
B 2.4751 4.1847 0.6224
B 3.6749 1.3949 11.3973
B 5.5501 4.1847 5.3874
Pd 0.3897 4.1847 0.7144
Pd 0.6946 1.3949 8.8142
Pd 1.0145 2.8061 4.9821
Pd 1.0145 5.5632 4.9821
Pd 2.0605 0.0163 10.9919
Pd 2.0605 2.7734 10.9919
Pd 2.3804 4.1847 2.8043
Pd 2.6853 1.3949 6.7242
Pd 3.4647 4.1847 5.2954
Pd 3.7696 1.3949 9.2153
Pd 4.0895 2.8061 1.0277
Pd 4.0895 5.5632 1.0277
Pd 5.1355 0.0163 7.0376
Pd 5.1355 2.7734 7.0376
Pd 5.4555 4.1847 3.2055
Pd 5.7603 1.3949 11.3053
CELL_PARAMETERS angstrom
6.1500 0.0000 0.0000
0.0000 5.5796 0.0000
0.0000 0.0000 12.0197

# 5
! PBE TmBPd3, relaxed; values from VASP
! * formation energy from the elements: -61.9 kJ/mol of atoms
&SYSTEM
  ibrav = 0, nat = 5, ntyp = 3
/
ATOMIC_SPECIES
Tm 168.93 Tm.upf
B 10.81 B.upf
Pd 106.42 Pd.upf
ATOMIC_POSITIONS angstrom
Tm 0.0000 0.0000 0.0000
B 2.1486 2.1486 2.1486
Pd 0.0000 2.1486 2.1486
Pd 2.1486 0.0000 2.1486
Pd 2.1486 2.1486 0.0000
CELL_PARAMETERS angstrom
4.2972 0.0000 0.0000
0.0000 4.2972 0.0000
0.0000 0.0000 4.2972

# 6
! PBE YB2Pd7, relaxed; values from VASP
! * formation energy from the elements: -35.5 kJ/mol of atoms
&SYSTEM
  ibrav = 0, nat = 10, ntyp = 3
/
ATOMIC_SPECIES
Y 88.91 Y.upf
B 10.81 B.upf
Pd 106.42 Pd.upf
ATOMIC_POSITIONS angstrom
Y 0.0000 0.0000 0.0000
B 2.1193 2.1193 2.1193
B 6.3578 6.3578 6.3578
Pd 2.1193 2.1193 0.0000
Pd 2.1193 0.0000 2.1193
Pd 4.2385 2.1193 2.1193
Pd 0.0000 2.1193 2.1193
Pd 2.1193 4.2385 2.1193
Pd 2.1193 2.1193 4.2385
Pd 4.2385 4.2385 4.2385
CELL_PARAMETERS angstrom
0.0000 4.2385 4.2385
4.2385 0.0000 4.2385
4.2385 4.2385 0.0000

# 7
! PBE PmB3, relaxed; values from VASP
! * formation energy from the elements: -9.8 kJ/mol of atoms
&SYSTEM
  ibrav = 0, nat = 8, ntyp = 2
/
ATOMIC_SPECIES
Pm 145.00 Pm.upf
B 10.81 B.upf
ATOMIC_POSITIONS angstrom
Pm 0.0000 3.2222 0.8604
Pm 2.7905 1.6111 2.5811
B 0.0000 1.0352 2.5811
B -1.8940 4.3157 2.5811
B 0.8965 0.5176 0.8604
B 1.8940 4.3157 2.5811
B 4.6845 0.5176 0.8604
B 2.7905 3.7981 0.8604
CELL_PARAMETERS angstrom
5.5811 0.0000 0.0000
-2.7905 4.8333 0.0000
0.0000 0.0000 3.4415

# 8
! PBE PrB4, relaxed; values from VASP
! * formation energy from the elements: -52.4 kJ/mol of atoms
&SYSTEM
  ibrav = 0, nat = 20, ntyp = 2
/
ATOMIC_SPECIES
Pr 140.91 Pr.upf
B 10.81 B.upf
ATOMIC_POSITIONS angstrom
Pr 1.3295 2.3056 0.0000
Pr 2.3056 5.9407 0.0000
Pr 4.9646 1.3295 0.0000
Pr 5.9407 4.9646 0.0000
B 0.0000 0.0000 0.8506
B 0.0000 0.0000 3.2935
B 0.2828 6.0069 2.0721
B 0.6415 4.2766 2.0721
B 1.2633 0.2828 2.0721
B 2.3718 3.9180 2.0721
B 2.9936 0.6415 2.0721
B 3.3523 2.3718 2.0721
B 3.6351 3.6351 0.8506
B 3.6351 3.6351 3.2935
B 3.9180 4.8984 2.0721
B 4.2766 6.6287 2.0721
B 4.8984 3.3523 2.0721
B 6.0069 6.9874 2.0721
B 6.6287 2.9936 2.0721
B 6.9874 1.2633 2.0721
CELL_PARAMETERS angstrom
7.2702 0.0000 0.0000
0.0000 7.2702 0.0000
0.0000 0.0000 4.1441

Number 8 is which compound? PrB4